No. 1
This record from the Materials Project describes a relaxed structure of Lu12In2Fe3. The functional is r2SCAN.

Space-group type: I4/mmm
Formation energy from the elements: -0.19 eV per atom
Raw total energy: -32.266 eV/atom

a = 8.1575 Å, b = 8.1575 Å, c = 8.1575 Å
α = 108.90°, β = 108.90°, γ = 110.62°
With the nearest neighbours (Å) after each atom.
Fractional coordinates of all 17 atoms:
Lu: 0.0496 0.8110 0.2386  2 Fe 2.86, 1 In 3.04, 2 Lu 3.20
Lu: 0.1890 0.4276 0.2386  2 Fe 2.86, 1 In 3.04, 2 Lu 3.20
Lu: 0.1890 0.9504 0.7614  2 Fe 2.86, 1 In 3.04, 2 Lu 3.20
Lu: 0.3095 0.3095 0.6191  2 Fe 2.80
Lu: 0.3095 0.6905 0.0000  2 Fe 2.80
Lu: 0.4276 0.1890 0.2386  2 Fe 2.86, 1 In 3.04, 2 Lu 3.20
Lu: 0.5724 0.8110 0.7614  2 Fe 2.86, 1 In 3.04, 2 Lu 3.20
Lu: 0.6905 0.3095 0.0000  2 Fe 2.80
Lu: 0.6905 0.6905 0.3809  2 Fe 2.80
Lu: 0.8110 0.0496 0.2386  2 Fe 2.86, 1 In 3.04, 2 Lu 3.20
Lu: 0.8110 0.5724 0.7614  2 Fe 2.86, 1 In 3.04, 2 Lu 3.20
Lu: 0.9504 0.1890 0.7614  2 Fe 2.86, 1 In 3.04, 2 Lu 3.20
In: 0.0000 0.5000 0.5000  4 Lu 3.04
In: 0.5000 0.0000 0.5000  4 Lu 3.04
Fe: 0.0000 0.0000 0.0000  8 Lu 2.86
Fe: 0.3770 0.3770 0.0000  1 Fe 2.28
Fe: 0.6230 0.6230 0.0000  1 Fe 2.28

***

No. 2
This record from the Materials Project describes a relaxed structure of NdCoGe. The functional is r2SCAN.

Space-group type: P4/nmm
Formation energy from the elements: -0.61 eV per atom
Raw total energy: -19.448 eV/atom

a = 4.2906 Å, b = 4.2906 Å, c = 6.5503 Å
α = 90.00°, β = 90.00°, γ = 90.00°
With the nearest neighbours (Å) after each atom.
Fractional coordinates of all 6 atoms:
Nd: 0.2500 0.2500 0.1949  4 Co 2.93, 5 Ge 3.13-3.24
Nd: 0.7500 0.7500 0.8051  4 Co 2.93, 5 Ge 3.13-3.24
Co: 0.2500 0.7500 0.5000  4 Ge 2.48
Co: 0.7500 0.2500 0.5000  4 Ge 2.48
Ge: 0.2500 0.2500 0.6897  4 Co 2.48
Ge: 0.7500 0.7500 0.3103  4 Co 2.48

***

No. 3
This record from the Materials Project describes a relaxed structure of TbCo3B2. The functional is r2SCAN.

Space-group type: P6/mmm
Formation energy from the elements: -0.41 eV per atom
Raw total energy: -14.680 eV/atom

a = 5.0369 Å, b = 5.0369 Å, c = 2.9287 Å
α = 90.00°, β = 90.00°, γ = 120.00°
With the nearest neighbours (Å) after each atom.
Fractional coordinates of all 6 atoms:
Tb: 0.0000 0.0000 0.0000  6 B 2.91, 12 Co 2.91, 2 Tb 2.93
Co: 0.0000 0.5000 0.5000  4 B 2.06
Co: 0.5000 0.0000 0.5000  4 B 2.06
Co: 0.5000 0.5000 0.5000  4 B 2.06
B: 0.3333 0.6667 0.0000  6 Co 2.06
B: 0.6667 0.3333 0.0000  6 Co 2.06

***

No. 4
This record from the Materials Project describes a relaxed structure of Hf3Cu4Si4. The functional is r2SCAN.

Space-group type: Immm
Formation energy from the elements: -0.54 eV per atom
Raw total energy: -19.987 eV/atom

a = 7.4561 Å, b = 7.4561 Å, c = 7.4561 Å
α = 149.76°, β = 129.83°, γ = 59.71°
With the nearest neighbours (Å) after each atom.
Fractional coordinates of all 11 atoms:
Hf: 0.0000 0.0000 0.0000  6 Si 2.75-2.79
Hf: 0.3755 0.8755 0.5000  6 Si 2.80-2.84, 6 Cu 2.81-2.92
Hf: 0.6245 0.1245 0.5000  6 Si 2.80-2.84, 6 Cu 2.81-2.92
Cu: 0.0231 0.3297 0.6933  4 Si 2.32-2.44, 1 Cu 2.44
Cu: 0.3636 0.6703 0.6933  4 Si 2.32-2.44, 1 Cu 2.44
Cu: 0.6364 0.3297 0.3067  4 Si 2.32-2.44, 1 Cu 2.44
Cu: 0.9769 0.6703 0.3067  4 Si 2.32-2.44, 1 Cu 2.44
Si: 0.2157 0.2157 0.0000  6 Cu 2.37-2.44
Si: 0.3080 0.5000 0.8080  2 Cu 2.32, 1 Si 2.43
Si: 0.6920 0.5000 0.1920  2 Cu 2.32, 1 Si 2.43
Si: 0.7843 0.7843 0.0000  6 Cu 2.37-2.44

***

No. 5
This record from the Materials Project describes a relaxed structure of Cd3PI3. The functional is r2SCAN.

Space-group type: Pm
Formation energy from the elements: -0.53 eV per atom
Raw total energy: -20.957 eV/atom

a = 7.3737 Å, b = 4.4630 Å, c = 7.8100 Å
α = 90.00°, β = 90.51°, γ = 90.00°
With the nearest neighbours (Å) after each atom.
Fractional coordinates of all 7 atoms:
Cd: 0.0000 0.0000 0.0000  2 P 2.50
Cd: 0.0243 0.5000 0.5896  1 P 2.48
Cd: 0.5694 0.5000 0.8578  1 P 2.49
P: 0.9062 0.5000 0.8863  4 Cd 2.48-2.50
I: 0.4029 0.5000 0.5307  2 Cd 2.82-2.83
I: 0.4057 0.0000 0.0501  3 Cd 2.95-3.01
I: 0.8957 0.0000 0.3756  3 Cd 2.94-3.04

***

No. 6
This record from the Materials Project describes a relaxed structure of Ag3P2O8. The functional is r2SCAN.

Space-group type: R3
Formation energy from the elements: -1.32 eV per atom
Raw total energy: -11.305 eV/atom

a = 5.7717 Å, b = 5.7717 Å, c = 5.7717 Å
α = 83.24°, β = 83.24°, γ = 83.24°
With the nearest neighbours (Å) after each atom.
Fractional coordinates of all 13 atoms:
Ag: 0.0633 0.6090 0.3277  4 O 2.12-2.27
Ag: 0.3277 0.0633 0.6090  4 O 2.12-2.27
Ag: 0.6090 0.3277 0.0633  4 O 2.12-2.27
P: 0.1030 0.1030 0.1030  4 O 1.49-1.56
P: 0.5587 0.5587 0.5587  4 O 1.53-1.63
O: 0.1816 0.9494 0.3264  1 P 1.56
O: 0.3264 0.1816 0.9494  1 P 1.56
O: 0.3798 0.6898 0.7261  1 P 1.53
O: 0.4119 0.4119 0.4119  1 P 1.63
O: 0.6898 0.7261 0.3798  1 P 1.53
O: 0.7261 0.3798 0.6898  1 P 1.53
O: 0.9494 0.3264 0.1816  1 P 1.56
O: 0.9690 0.9690 0.9690  1 P 1.49

***

No. 7
This record from the Materials Project describes a relaxed structure of SnO2. The functional is r2SCAN.

Space-group type: P4_2/mnm
Formation energy from the elements: -1.88 eV per atom
Raw total energy: -14.110 eV/atom

a = 4.7648 Å, b = 4.7648 Å, c = 3.2075 Å
α = 90.00°, β = 90.00°, γ = 90.00°
With the nearest neighbours (Å) after each atom.
Fractional coordinates of all 6 atoms:
Sn: 0.0000 0.0000 0.0000  6 O 2.06-2.07
Sn: 0.5000 0.5000 0.5000  6 O 2.06-2.07
O: 0.1940 0.1940 0.5000  3 Sn 2.06-2.07
O: 0.3060 0.6940 0.0000  3 Sn 2.06-2.07
O: 0.6940 0.3060 0.0000  3 Sn 2.06-2.07
O: 0.8060 0.8060 0.5000  3 Sn 2.06-2.07

***

No. 8
This record from the Materials Project describes a relaxed structure of NaSn2Pd3. The functional is r2SCAN.

Space-group type: P6mm
Formation energy from the elements: -0.48 eV per atom
Raw total energy: -20.805 eV/atom

a = 5.7711 Å, b = 5.7711 Å, c = 4.2624 Å
α = 90.00°, β = 90.00°, γ = 120.00°
With the nearest neighbours (Å) after each atom.
Fractional coordinates of all 6 atoms:
Na: 0.0000 0.0000 0.0000  6 Pd 3.01
Sn: 0.3333 0.6667 0.3035  6 Pd 2.70-2.71
Sn: 0.6667 0.3333 0.3035  6 Pd 2.70-2.71
Pd: 0.0000 0.5000 0.8024  4 Sn 2.70-2.71, 4 Pd 2.89, 2 Na 3.01
Pd: 0.5000 0.0000 0.8024  4 Sn 2.70-2.71, 4 Pd 2.89, 2 Na 3.01
Pd: 0.5000 0.5000 0.8024  4 Sn 2.70-2.71, 4 Pd 2.89, 2 Na 3.01

***

No. 9
This record from the Materials Project describes a relaxed structure of Na2MnO3. The functional is r2SCAN.

Space-group type: Fddd
Formation energy from the elements: -2.02 eV per atom
Raw total energy: -8.643 eV/atom
E above lowest polymorph: 0.07 eV per formula unit

a = 9.8942 Å, b = 9.4398 Å, c = 5.3430 Å
α = 78.70°, β = 69.32°, γ = 31.98°
With the nearest neighbours (Å) after each atom.
Fractional coordinates of all 24 atoms:
Na: 0.0478 0.0478 0.2022  6 O 2.23-2.39
Na: 0.1190 0.1190 0.6310  6 O 2.19-2.32
Na: 0.2022 0.2022 0.0478  6 O 2.23-2.39
Na: 0.3690 0.3690 0.8810  6 O 2.19-2.32
Na: 0.6310 0.6310 0.1190  6 O 2.19-2.32
Na: 0.7978 0.7978 0.9522  6 O 2.23-2.39
Na: 0.8810 0.8810 0.3690  6 O 2.19-2.32
Na: 0.9522 0.9522 0.7978  6 O 2.23-2.39
Mn: 0.2908 0.2908 0.4592  6 O 1.94-1.96
Mn: 0.4592 0.4592 0.2908  6 O 1.94-1.96
Mn: 0.5408 0.5408 0.7092  6 O 1.94-1.96
Mn: 0.7092 0.7092 0.5408  6 O 1.94-1.96
O: 0.0333 0.5304 0.2647  2 Mn 1.94-1.96
O: 0.1788 0.5712 0.5712  2 Mn 1.94
O: 0.2647 0.6715 0.0333  2 Mn 1.94-1.96
O: 0.3285 0.7353 0.4696  2 Mn 1.94-1.96
O: 0.4288 0.8212 0.8212  2 Mn 1.94
O: 0.4696 0.9667 0.3285  2 Mn 1.94-1.96
O: 0.5304 0.0333 0.6715  2 Mn 1.94-1.96
O: 0.5712 0.1788 0.1788  2 Mn 1.94
O: 0.6715 0.2647 0.5304  2 Mn 1.94-1.96
O: 0.7353 0.3285 0.9667  2 Mn 1.94-1.96
O: 0.8212 0.4288 0.4288  2 Mn 1.94
O: 0.9667 0.4696 0.7353  2 Mn 1.94-1.96

***

No. 10
This record from the Materials Project describes a relaxed structure of SiIr. The functional is r2SCAN.

Space-group type: Pnma
Formation energy from the elements: -0.74 eV per atom
Raw total energy: -31.308 eV/atom

a = 5.5568 Å, b = 3.2354 Å, c = 6.3043 Å
α = 90.00°, β = 90.00°, γ = 90.00°
With the nearest neighbours (Å) after each atom.
Fractional coordinates of all 8 atoms:
Si: 0.1820 0.2500 0.0620  6 Ir 2.41-2.56
Si: 0.3180 0.7500 0.5620  6 Ir 2.41-2.56
Si: 0.6820 0.2500 0.4380  6 Ir 2.41-2.56
Si: 0.8180 0.7500 0.9380  6 Ir 2.41-2.56
Ir: 0.0012 0.2500 0.7056  6 Si 2.41-2.56
Ir: 0.4988 0.7500 0.2056  6 Si 2.41-2.56
Ir: 0.5012 0.2500 0.7944  6 Si 2.41-2.56
Ir: 0.9988 0.7500 0.2944  6 Si 2.41-2.56

***

No. 11
This record from the Materials Project describes a relaxed structure of ErPdPb. The functional is r2SCAN.

Space-group type: P-62m
Formation energy from the elements: -0.79 eV per atom
Raw total energy: -38.516 eV/atom

a = 7.7059 Å, b = 7.7059 Å, c = 3.8864 Å
α = 90.00°, β = 90.00°, γ = 120.00°
With the nearest neighbours (Å) after each atom.
Fractional coordinates of all 9 atoms:
Er: 0.0000 0.5999 0.0000  5 Pd 3.05-3.08, 6 Pb 3.22-3.34
Er: 0.4001 0.4001 0.0000  5 Pd 3.05-3.08, 6 Pb 3.22-3.34
Er: 0.5999 0.0000 0.0000  5 Pd 3.05-3.08, 6 Pb 3.22-3.34
Pd: 0.0000 0.0000 0.0000  6 Pb 2.83, 3 Er 3.08
Pd: 0.3333 0.6667 0.5000  3 Pb 2.86, 6 Er 3.05
Pd: 0.6667 0.3333 0.5000  3 Pb 2.86, 6 Er 3.05
Pb: 0.0000 0.2669 0.5000  4 Pd 2.83-2.86
Pb: 0.2669 0.0000 0.5000  4 Pd 2.83-2.86
Pb: 0.7331 0.7331 0.5000  4 Pd 2.83-2.86

***

No. 12
This record from the Materials Project describes a relaxed structure of EuPb3. The functional is r2SCAN.

Space-group type: Pm-3m
Formation energy from the elements: -0.48 eV per atom
Raw total energy: -52.321 eV/atom

a = 4.9375 Å, b = 4.9375 Å, c = 4.9375 Å
α = 90.00°, β = 90.00°, γ = 90.00°
With the nearest neighbours (Å) after each atom.
Fractional coordinates of all 4 atoms:
Eu: 0.0000 0.0000 0.0000  12 Pb 3.49
Pb: 0.0000 0.5000 0.5000  8 Pb 3.49, 4 Eu 3.49
Pb: 0.5000 0.0000 0.5000  8 Pb 3.49, 4 Eu 3.49
Pb: 0.5000 0.5000 0.0000  8 Pb 3.49, 4 Eu 3.49